Entry 1:
PBE with a Hubbard U Li2VC2O6, optimized geometry; energy above the most stable polymorph in this dataset = 0.0 kJ/mol of atoms; SG = P2_1/c; corrected total energy (MP2020 scheme) = -7.6810 eV per atom; formation energy = -23.4 eV per formula unit
1.0
4.904 0.000 0.000
0.000 6.384 0.000
-4.545 0.000 8.322
Li V C O
4 2 4 12
direct
0.191 0.219 0.173
0.191 0.281 0.673
0.809 0.719 0.327
0.809 0.781 0.827
0.500 0.000 0.000
0.500 0.500 0.500
0.156 0.733 0.671
0.156 0.767 0.171
0.844 0.233 0.829
0.844 0.267 0.329
0.110 0.202 0.956
0.110 0.298 0.456
0.165 0.678 0.296
0.165 0.822 0.796
0.412 0.675 0.672
0.412 0.825 0.172
0.588 0.175 0.828
0.588 0.325 0.328
0.835 0.178 0.204
0.835 0.322 0.704
0.890 0.702 0.544
0.890 0.798 0.044

Entry 2:
PBE with a Hubbard U Ca2MnFeSi4H5O15, optimized geometry; energy above the most stable polymorph in this dataset = 43.2 kJ/mol of atoms; SG = P-1; corrected total energy (MP2020 scheme) = -6.9237 eV per atom; formation energy = -59.3 eV per formula unit
1.0
8.865 0.000 0.000
3.886 8.172 0.000
3.930 0.477 9.400
Ca Mn Fe Si H O
4 2 2 8 10 30
direct
0.081 0.315 0.422
0.368 0.801 0.497
0.632 0.199 0.503
0.919 0.685 0.578
0.207 0.516 0.776
0.793 0.484 0.224
0.481 0.658 0.130
0.519 0.342 0.870
0.116 0.665 0.218
0.117 0.298 0.962
0.459 0.693 0.788
0.475 0.990 0.833
0.525 0.010 0.167
0.541 0.307 0.212
0.883 0.702 0.038
0.884 0.335 0.782
0.130 0.819 0.234
0.164 0.858 0.833
0.254 0.059 0.151
0.287 0.527 0.505
0.458 0.105 0.375
0.542 0.895 0.625
0.713 0.473 0.495
0.746 0.941 0.849
0.836 0.142 0.167
0.870 0.181 0.766
0.008 0.588 0.359
0.029 0.714 0.091
0.044 0.314 0.135
0.102 0.020 0.447
0.153 0.062 0.539
0.222 0.619 0.569
0.274 0.844 0.755
0.288 0.119 0.925
0.328 0.542 0.162
0.356 0.570 0.876
0.366 0.969 0.155
0.405 0.304 0.375
0.454 0.327 0.723
0.494 0.795 0.894
0.494 0.995 0.339
0.506 0.005 0.661
0.506 0.205 0.106
0.546 0.673 0.277
0.595 0.696 0.625
0.634 0.031 0.845
0.644 0.430 0.124
0.672 0.458 0.838
0.712 0.881 0.075
0.726 0.156 0.245
0.778 0.381 0.431
0.847 0.938 0.461
0.898 0.980 0.553
0.956 0.686 0.865
0.971 0.286 0.909
0.992 0.412 0.641

Entry 3:
PBE with a Hubbard U Fe3O4F2, optimized geometry; energy above the most stable polymorph in this dataset = 1.5 kJ/mol of atoms; SG = P-1; corrected total energy (MP2020 scheme) = -7.2340 eV per atom; formation energy = -16.1 eV per formula unit
1.0
4.772 0.000 0.000
0.512 5.639 0.000
0.401 0.758 7.606
Fe O F
6 8 4
direct
0.000 0.000 0.000
0.012 0.680 0.334
0.460 0.143 0.322
0.500 0.500 0.000
0.540 0.857 0.678
0.988 0.320 0.666
0.179 0.958 0.222
0.303 0.460 0.229
0.304 0.126 0.564
0.310 0.799 0.900
0.690 0.201 0.100
0.696 0.874 0.436
0.697 0.540 0.771
0.821 0.042 0.778
0.187 0.617 0.567
0.197 0.300 0.897
0.803 0.700 0.103
0.813 0.383 0.433

Entry 4:
PBE with a Hubbard U Mn3Fe2SbP6O24, optimized geometry; SG = R3; corrected total energy (MP2020 scheme) = -7.8870 eV per atom; formation energy = -84.1 eV per formula unit
1.0
4.362 2.518 6.979
-4.362 2.518 6.979
0.000 -5.036 6.979
Mn Fe Sb P O
3 2 1 6 24
direct
0.000 0.000 0.000
0.210 0.210 0.210
0.498 0.498 0.498
0.354 0.354 0.354
0.861 0.861 0.861
0.712 0.712 0.712
0.108 0.807 0.397
0.309 0.602 0.901
0.397 0.108 0.807
0.602 0.901 0.309
0.807 0.397 0.108
0.901 0.309 0.602
0.041 0.841 0.245
0.095 0.299 0.448
0.117 0.766 0.913
0.165 0.961 0.371
0.245 0.041 0.841
0.261 0.609 0.420
0.299 0.448 0.095
0.349 0.541 0.743
0.371 0.165 0.961
0.420 0.261 0.609
0.448 0.095 0.299
0.468 0.671 0.862
0.541 0.743 0.349
0.599 0.940 0.792
0.609 0.420 0.261
0.671 0.862 0.468
0.743 0.349 0.541
0.766 0.913 0.117
0.792 0.599 0.940
0.841 0.245 0.041
0.862 0.468 0.671
0.913 0.117 0.766
0.940 0.792 0.599
0.961 0.371 0.165

Entry 5:
PBE with a Hubbard U MgFe8O8F8, optimized geometry; energy above the most stable polymorph in this dataset = 5.2 kJ/mol of atoms; SG = P1; corrected total energy (MP2020 scheme) = -7.0463 eV per atom; formation energy = -51.9 eV per formula unit
1.0
5.186 0.000 0.000
0.018 5.282 0.000
0.236 0.329 11.668
Mg Fe O F
1 8 8 8
direct
0.000 0.000 0.000
0.001 0.563 0.868
0.020 0.597 0.383
0.369 0.091 0.505
0.502 0.931 0.750
0.508 0.949 0.006
0.521 0.954 0.260
0.862 0.437 0.627
0.871 0.464 0.141
0.113 0.351 0.501
0.266 0.860 0.882
0.268 0.865 0.381
0.609 0.172 0.627
0.698 0.145 0.129
0.735 0.659 0.745
0.756 0.675 0.265
0.797 0.679 0.013
0.129 0.335 0.738
0.154 0.384 0.252
0.156 0.328 0.017
0.247 0.843 0.628
0.247 0.873 0.140
0.629 0.190 0.379
0.737 0.132 0.878
0.760 0.690 0.503

Entry 6:
PBE with a Hubbard U Mn2F5, optimized geometry; SG = C2/c; corrected total energy (MP2020 scheme) = -6.7628 eV per atom; formation energy = -19.4 eV per formula unit
1.0
5.479 -2.654 0.000
5.479 2.654 0.000
-3.053 0.000 7.372
Mn F
4 10
direct
0.096 0.140 0.204
0.140 0.096 0.704
0.860 0.904 0.296
0.904 0.860 0.796
0.047 0.509 0.311
0.064 0.791 0.070
0.209 0.936 0.430
0.276 0.724 0.750
0.491 0.953 0.189
0.509 0.047 0.811
0.724 0.276 0.250
0.791 0.064 0.570
0.936 0.209 0.930
0.953 0.491 0.689

Entry 7:
PBE with a Hubbard U CrAsO4, optimized geometry; SG = Pnma; corrected total energy (MP2020 scheme) = -7.6377 eV per atom; formation energy = -11.7 eV per formula unit
1.0
9.131 0.000 0.000
0.000 6.426 0.000
0.000 0.000 4.863
Cr As O
4 4 16
direct
0.000 0.000 0.000
0.000 0.500 0.000
0.500 0.000 0.500
0.500 0.500 0.500
0.180 0.250 0.476
0.320 0.750 0.976
0.680 0.250 0.024
0.820 0.750 0.524
0.114 0.250 0.816
0.126 0.025 0.326
0.126 0.475 0.326
0.129 0.750 0.914
0.371 0.250 0.414
0.374 0.525 0.826
0.374 0.975 0.826
0.386 0.750 0.316
0.614 0.250 0.684
0.626 0.025 0.174
0.626 0.475 0.174
0.629 0.750 0.586
0.871 0.250 0.086
0.874 0.525 0.674
0.874 0.975 0.674
0.886 0.750 0.184

Entry 8:
PBE with a Hubbard U Ti3Mn2CrP6O24, optimized geometry; SG = R3; corrected total energy (MP2020 scheme) = -8.4914 eV per atom; formation energy = -102.8 eV per formula unit
1.0
4.328 2.499 7.054
-4.328 2.499 7.054
0.000 -4.997 7.054
Ti Mn Cr P O
3 2 1 6 24
direct
0.000 0.000 0.000
0.210 0.210 0.210
0.501 0.501 0.501
0.354 0.354 0.354
0.856 0.856 0.856
0.713 0.713 0.713
0.104 0.812 0.399
0.317 0.606 0.897
0.399 0.104 0.812
0.606 0.897 0.317
0.812 0.399 0.104
0.897 0.317 0.606
0.046 0.853 0.237
0.090 0.295 0.441
0.122 0.769 0.912
0.165 0.973 0.358
0.237 0.046 0.853
0.270 0.620 0.414
0.295 0.441 0.090
0.356 0.547 0.735
0.358 0.165 0.973
0.414 0.270 0.620
0.441 0.090 0.295
0.474 0.662 0.863
0.547 0.735 0.356
0.592 0.942 0.798
0.620 0.414 0.270
0.662 0.863 0.474
0.735 0.356 0.547
0.769 0.912 0.122
0.798 0.592 0.942
0.853 0.237 0.046
0.863 0.474 0.662
0.912 0.122 0.769
0.942 0.798 0.592
0.973 0.358 0.165

Entry 9:
PBE with a Hubbard U Li19Ni23O42, optimized geometry; SG = P-1; corrected total energy (MP2020 scheme) = -5.9535 eV per atom; formation energy = -123.1 eV per formula unit
1.0
8.206 0.000 0.000
4.049 8.771 0.000
2.029 1.429 10.184
Li Ni O
19 23 42
direct
0.000 0.000 0.000
0.047 0.048 0.717
0.093 0.095 0.429
0.140 0.141 0.142
0.190 0.191 0.859
0.237 0.238 0.574
0.334 0.334 0.998
0.380 0.381 0.715
0.431 0.430 0.430
0.477 0.477 0.142
0.523 0.523 0.858
0.569 0.570 0.570
0.620 0.619 0.285
0.666 0.666 0.002
0.763 0.762 0.426
0.810 0.809 0.141
0.860 0.859 0.858
0.907 0.905 0.571
0.953 0.952 0.283
0.025 0.525 0.858
0.075 0.572 0.572
0.117 0.620 0.285
0.168 0.667 0.001
0.215 0.713 0.715
0.262 0.762 0.429
0.286 0.287 0.286
0.308 0.812 0.143
0.355 0.857 0.857
0.403 0.904 0.571
0.454 0.951 0.285
0.500 0.000 0.000
0.546 0.049 0.715
0.597 0.096 0.429
0.645 0.143 0.143
0.692 0.188 0.857
0.714 0.713 0.714
0.738 0.238 0.571
0.785 0.287 0.285
0.832 0.333 0.999
0.883 0.380 0.715
0.925 0.428 0.428
0.975 0.475 0.142
0.032 0.749 0.436
0.037 0.288 0.282
0.062 0.341 0.000
0.068 0.797 0.135
0.125 0.397 0.709
0.126 0.853 0.858
0.162 0.428 0.426
0.173 0.894 0.564
0.210 0.941 0.279
0.224 0.474 0.146
0.265 0.537 0.866
0.269 0.989 0.006
0.305 0.032 0.708
0.306 0.576 0.571
0.359 0.639 0.288
0.360 0.098 0.426
0.394 0.681 0.006
0.411 0.145 0.146
0.445 0.175 0.866
0.465 0.715 0.714
0.490 0.774 0.435
0.510 0.226 0.565
0.535 0.285 0.286
0.555 0.825 0.134
0.589 0.855 0.854
0.606 0.319 0.994
0.640 0.902 0.574
0.641 0.361 0.712
0.694 0.424 0.429
0.695 0.968 0.292
0.731 0.011 0.994
0.735 0.463 0.134
0.776 0.526 0.854
0.790 0.059 0.721
0.827 0.106 0.436
0.838 0.572 0.574
0.874 0.147 0.142
0.875 0.603 0.291
0.932 0.203 0.865
0.938 0.659 0.000
0.963 0.712 0.718
0.968 0.251 0.564

Entry 10:
PBE with a Hubbard U VF5, optimized geometry; SG = Cc; corrected total energy (MP2020 scheme) = -5.8761 eV per atom; formation energy = -16.6 eV per formula unit
1.0
4.387 -3.113 0.000
4.387 3.113 0.000
-4.106 0.000 7.206
V F
2 10
direct
0.013 0.987 0.500
0.987 0.013 0.000
0.088 0.914 0.296
0.204 0.249 0.165
0.242 0.716 0.588
0.249 0.204 0.665
0.290 0.752 0.005
0.716 0.242 0.088
0.749 0.801 0.422
0.752 0.290 0.505
0.801 0.749 0.922
0.914 0.088 0.796

Entry 11:
PBE with a Hubbard U K2FeP2H3O8F2, optimized geometry; energy above the most stable polymorph in this dataset = 82.9 kJ/mol of atoms; SG = P1; corrected total energy (MP2020 scheme) = -5.6548 eV per atom; formation energy = -26.7 eV per formula unit
1.0
7.239 0.000 0.000
0.205 7.244 0.000
0.366 0.352 7.517
K Fe P H O F
4 2 4 6 16 4
direct
0.000 0.000 0.000
0.200 0.985 0.402
0.441 0.686 0.274
0.676 0.779 0.912
0.008 0.527 0.667
0.745 0.108 0.517
0.143 0.406 0.085
0.312 0.194 0.762
0.563 0.507 0.609
0.744 0.306 0.142
0.169 0.597 0.060
0.323 0.911 0.900
0.486 0.910 0.580
0.785 0.917 0.285
0.883 0.056 0.351
0.947 0.746 0.419
0.112 0.262 0.230
0.176 0.336 0.879
0.261 0.997 0.729
0.372 0.952 0.020
0.387 0.371 0.161
0.451 0.123 0.933
0.479 0.294 0.662
0.542 0.964 0.469
0.569 0.445 0.066
0.723 0.329 0.353
0.750 0.478 0.696
0.790 0.793 0.226
0.868 0.821 0.591
0.908 0.453 0.055
0.970 0.727 0.284
0.977 0.773 0.743
0.165 0.272 0.595
0.195 0.614 0.501
0.433 0.611 0.770
0.813 0.126 0.750